(1)
The following is a PBE-GGA calculation of crystalline Cs2LiSbCl6 at its relaxed geometry, from the Materials Project.

## Properties
SG: Fm-3m
Calculated volume in Å³ per cell: 303.2
Total magnetization in μB per atom: 0.00
Uncorrected energy in eV per atom: -3.43

Cell lengths 7.5409, 7.5409, 7.5409 Å; angles 60.00, 60.00, 60.00 degrees
With the nearest neighbours (Å) after each atom.
Element x y z (fractional)
Cl 0.2508 0.2508 0.7492  1 Li 2.66, 1 Sb 2.67
Cl 0.7492 0.7492 0.2508  1 Li 2.66, 1 Sb 2.67
Cl 0.2508 0.7492 0.7492  1 Li 2.66, 1 Sb 2.67
Cl 0.2508 0.7492 0.2508  1 Li 2.66, 1 Sb 2.67
Cl 0.7492 0.2508 0.2508  1 Li 2.66, 1 Sb 2.67
Cl 0.7492 0.2508 0.7492  1 Li 2.66, 1 Sb 2.67
Li 0.5000 0.5000 0.5000  6 Cl 2.66
Sb 0.0000 0.0000 0.0000  6 Cl 2.67
Cs 0.2500 0.2500 0.2500  12 Cl 3.77
Cs 0.7500 0.7500 0.7500  12 Cl 3.77



(2)
The following is a PBE-GGA calculation of crystalline La2Nb4CuCl2O14 at its relaxed geometry, from the Materials Project.

## Properties
SG: P4/mmm
Calculated volume in Å³ per cell: 364.5
Total magnetization in μB per atom: 0.08
Uncorrected energy in eV per atom: -7.80

Cell lengths 5.5408, 5.5408, 11.8733 Å; angles 90.00, 90.00, 90.00 degrees
With the nearest neighbours (Å) after each atom.
Element x y z (fractional)
O 0.2491 0.2491 0.8463  2 Nb 2.01-2.03
O 0.7509 0.2491 0.8463  2 Nb 2.01-2.03
O 0.5000 0.5000 0.0000  2 Nb 2.35
O 0.5000 0.5000 0.6544  1 Nb 1.76
O 0.7509 0.2491 0.1537  2 Nb 2.01-2.03
O 0.0000 0.0000 0.6529  1 Cu 1.82, 1 Nb 1.82
O 0.7509 0.7509 0.8463  2 Nb 2.01-2.03
O 0.2491 0.7509 0.8463  2 Nb 2.01-2.03
O 0.2491 0.7509 0.1537  2 Nb 2.01-2.03
O 0.2491 0.2491 0.1537  2 Nb 2.01-2.03
O 0.5000 0.5000 0.3456  1 Nb 1.76
O 0.0000 0.0000 0.3471  1 Cu 1.82, 1 Nb 1.82
O 0.0000 0.0000 0.0000  2 Nb 2.30
O 0.7509 0.7509 0.1537  2 Nb 2.01-2.03
La 0.5000 0.0000 0.0000  12 O 2.68-2.77
La 0.0000 0.5000 0.0000  12 O 2.68-2.77
Nb 0.5000 0.5000 0.1977  1 O 1.76
Nb 0.0000 0.0000 0.8065  5 O 1.82-2.01
Nb 0.5000 0.5000 0.8023  1 O 1.76
Nb 0.0000 0.0000 0.1935  5 O 1.82-2.01
Cu 0.0000 0.0000 0.5000  2 O 1.82
Cl 0.5000 0.0000 0.5000  2 Cu 2.77
Cl 0.0000 0.5000 0.5000  2 Cu 2.77



(3)
The following is a PBE-GGA calculation of crystalline Na3Hf3GaSi3S3O24 at its relaxed geometry, from the Materials Project.

## Properties
SG: P1
Calculated volume in Å³ per cell: 1581.5
Total magnetization in μB per atom: 0.00
Uncorrected energy in eV per atom: -7.33

Cell lengths 8.8795, 8.9651, 22.9623 Å; angles 90.00, 90.00, 120.09 degrees
With the nearest neighbours (Å) after each atom.
Element x y z (fractional)
O 0.8511 0.3522 0.6416  1 Si 1.62, 1 Ga 1.81
O 0.4977 0.3493 0.1505  1 Si 1.64
O 0.6837 0.5355 0.2506  1 S 1.48
O 0.8228 0.7970 0.5874  1 S 1.48
O 0.3590 0.8688 0.5778  1 S 1.47
O 0.7982 0.8118 0.1995  1 S 1.48
O 0.8636 0.3460 0.9218  1 S 1.48
O 0.1478 0.5095 0.5807  1 Si 1.65
O 0.9602 0.1937 0.3120  1 Si 1.65
O 0.9689 0.1606 0.5890  1 Si 1.65
O 0.9667 0.8140 0.0909  1 Si 1.63
O 0.4981 0.1261 0.9206  1 S 1.49
O 0.8193 0.0272 0.8028  1 S 1.49
O 0.8059 0.3044 0.2407  1 Si 1.64
O 0.8211 0.8002 0.3053  1 S 1.48
O 0.1595 0.1753 0.4073  1 Si 1.63
O 0.2876 0.4569 0.4683  1 Si 1.66
O 0.3545 0.4824 0.3547  1 Si 1.64
O 0.1770 0.2060 0.6922  1 Si 1.63
O 0.8497 0.3207 0.5246  1 Si 1.64
O 0.1657 0.4862 0.2537  1 Si 1.67
O 0.8707 0.5114 0.4233  1 S 1.50
O 0.1918 0.0157 0.3041  1 S 1.48
O 0.1802 0.9731 0.1986  1 S 1.50
O 0.1916 0.1681 0.0925  1 Si 1.64
O 0.1220 0.4801 0.8644  1 S 1.50
O 0.6876 0.1537 0.7454  1 S 1.45
O 0.3714 0.5080 0.0836  1 Si 1.66
O 0.2097 0.1769 0.8062  1 Si 1.63
O 0.6392 0.5260 0.6396  1 S 1.48
O 0.3127 0.8512 0.9696  1 S 1.46
O 0.0328 0.2046 0.9112  1 S 1.47
O 0.0246 0.8230 0.4088  1 S 1.44
O 0.8202 0.0251 0.0899  1 S 1.49
O 0.9637 0.7973 0.8034  1 Si 1.66
O 0.6375 0.1238 0.1361  1 S 1.47
O 0.1232 0.6366 0.3652  1 S 1.50
O 0.7898 0.9728 0.6983  1 S 1.49
O 0.0238 0.1944 0.1975  1 Si 1.64
O 0.5036 0.8650 0.3595  1 Si 1.63
O 0.1498 0.6956 0.4695  1 S 1.49
O 0.6821 0.5322 0.5336  1 S 1.47
O 0.6630 0.1518 0.4221  1 Si 1.67
O 0.5379 0.8436 0.7569  1 S 1.50
O 0.6916 0.1500 0.0302  1 S 1.47
O 0.3353 0.4875 0.7554  1 Si 1.67
O 0.5249 0.8382 0.4739  1 Si 1.63
O 0.8186 0.9701 0.4117  1 Si 1.63
O 0.6462 0.4983 0.9186  1 Si 1.65
O 0.8279 0.5175 0.7454  1 Si 1.63
O 0.2009 0.0228 0.5867  1 S 1.50
O 0.4748 0.3072 0.0316  1 Si 1.63
O 0.5256 0.6867 0.9703  1 Si 1.63
O 0.1761 0.6934 0.7551  1 Si 1.63
O 0.1836 0.9797 0.9120  1 S 1.50
O 0.8443 0.5345 0.0263  1 Si 1.64
O 0.1580 0.6613 0.0741  1 Si 1.64
O 0.4548 0.1558 0.2485  1 S 1.47
O 0.4606 0.1476 0.5316  1 S 1.50
O 0.5218 0.6565 0.8553  1 Si 1.64
O 0.0163 0.8237 0.6900  1 Si 1.62
O 0.8256 0.8493 0.9121  1 Si 1.64
O 0.4787 0.1240 0.6376  1 S 1.46
O 0.8915 0.5126 0.1420  1 Si 1.61, 1 Ga 1.80
O 0.5096 0.8727 0.0773  1 S 1.49
O 0.5089 0.3599 0.4232  1 Si 1.62
O 0.3035 0.8431 0.2565  1 S 1.49
O 0.3485 0.8661 0.8640  1 S 1.48
O 0.4976 0.3126 0.7384  1 Si 1.63
O 0.5375 0.6990 0.2554  1 S 1.52
O 0.1453 0.4598 0.9696  1 S 1.48
O 0.5093 0.6430 0.5780  1 S 1.50
Ga 0.6984 0.3507 0.1786  3 O 1.80-1.89
Ga 0.9870 0.0279 0.3520  3 O 1.86-1.92
Ga 0.6877 0.3517 0.6889  3 O 1.81-1.91
Na 0.2990 0.6521 0.1636  4 O 2.43-2.72
Na 0.9956 0.9809 0.0035  5 O 2.44-2.69
Na 0.3559 0.3577 0.2417  4 O 2.38-2.53
Na 0.6628 0.3403 0.8291  5 O 2.46-2.72
Na 0.6411 0.6270 0.7534  4 O 2.32-2.53
Na 0.2887 0.6430 0.6661  2 O 2.31-2.41
Na 0.6644 0.3169 0.3271  4 O 2.38-2.63
Na 0.9934 0.0060 0.4945  3 O 2.37-2.64
Na 0.9720 0.2935 0.4168  5 O 2.38-2.55
Hf 0.3273 0.6532 0.8112  6 O 1.99-2.19
Hf 0.0116 0.0148 0.6457  4 O 1.93-2.13
Hf 0.0078 0.0079 0.1454  6 O 1.96-2.19
Hf 0.3354 0.6650 0.3139  6 O 1.96-2.20
Hf 0.6655 0.3532 0.9807  3 O 1.92-2.00
Hf 0.3287 0.6510 0.5182  5 O 1.96-2.14
Hf 0.3424 0.6559 0.0258  5 O 1.97-2.18
Hf 0.0077 0.9931 0.8508  5 O 1.93-2.15
Hf 0.6616 0.3196 0.4783  5 O 1.98-2.19
Si 0.3053 0.2895 0.7480  4 O 1.63-1.67
Si 0.9619 0.6305 0.0843  4 O 1.61-1.64
Si 0.9836 0.2945 0.2497  4 O 1.64-1.67
Si 0.6260 0.9509 0.4165  4 O 1.63-1.67
Si 0.3898 0.3341 0.0909  4 O 1.63-1.66
Si 0.0021 0.7081 0.7463  4 O 1.62-1.66
Si 0.3322 0.3662 0.4128  4 O 1.62-1.66
Si 0.9529 0.3359 0.5856  4 O 1.62-1.65
Si 0.6329 0.6754 0.9147  4 O 1.63-1.65
S 0.6662 0.6229 0.5847  4 O 1.47-1.50
S 0.3785 0.0410 0.5849  4 O 1.46-1.50
S 0.0435 0.6739 0.4167  4 O 1.44-1.50
S 0.7159 0.7136 0.2532  4 O 1.48-1.52
S 0.6659 0.0479 0.0834  4 O 1.47-1.49
S 0.2835 0.9982 0.2530  4 O 1.47-1.50
S 0.0414 0.3719 0.9175  4 O 1.47-1.50
S 0.7108 0.0049 0.7504  4 O 1.45-1.50
S 0.3376 0.9540 0.9173  4 O 1.46-1.50



| no. | E_form (meV/atom) |
| --- | --- |
| 1 | -1908 |
| 2 | -2685 |
| 3 | -2796 |